Record 1
A plane-wave DFT calculation with PBE was carried out for an optimized crystal structure of Ba8In6O17.

## Properties
SG = P-1, No. 2
E above lowest polymorph = 0.0 meV/atom
theoretical density = 5.96 g/cm3

Geometry as CIF:
```
data_Ba8In6O17
_chemical_formula_sum 'Ba8 In6 O17'
_symmetry_space_group_name_H-M 'P 1'
_symmetry_Int_Tables_number 1
_cell_length_a 6.1997
_cell_length_b 6.2375
_cell_length_c 15.1514
_cell_angle_alpha 101.85
_cell_angle_beta 90.02
_cell_angle_gamma 90.04
loop_
_symmetry_equiv_pos_as_xyz
'x,y,z'
loop_
_atom_site_label
_atom_site_type_symbol
_atom_site_fract_x
_atom_site_fract_y
_atom_site_fract_z
Ba1 Ba 0.2318 0.4466 0.4111
Ba2 Ba 0.2333 0.0358 0.5895
Ba3 Ba 0.2572 0.3281 0.1372
Ba4 Ba 0.2578 0.1915 0.8636
Ba5 Ba 0.7422 0.8085 0.1364
Ba6 Ba 0.7428 0.6719 0.8628
Ba7 Ba 0.7667 0.9642 0.4105
Ba8 Ba 0.7682 0.5534 0.5889
In1 In 0.2340 0.7653 0.9999
In2 In 0.2752 0.8692 0.2814
In3 In 0.2777 0.5863 0.7187
In4 In 0.7223 0.4137 0.2813
In5 In 0.7248 0.1308 0.7186
In6 In 0.7660 0.2347 0.0001
O1 O 0.0000 0.0000 0.0000
O2 O 0.0000 0.5000 0.0000
O3 O 0.0047 0.3543 0.7215
O4 O 0.1960 0.6121 0.5851
O5 O 0.1971 0.0272 0.4155
O6 O 0.3051 0.6178 0.8633
O7 O 0.3069 0.7519 0.1360
O8 O 0.4973 0.6590 0.3201
O9 O 0.4985 0.1327 0.2652
O10 O 0.5000 0.0000 0.0000
O11 O 0.5015 0.8673 0.7348
O12 O 0.5027 0.3410 0.6799
O13 O 0.6931 0.2481 0.8640
O14 O 0.6949 0.3822 0.1367
O15 O 0.8029 0.9728 0.5845
O16 O 0.8040 0.3879 0.4149
O17 O 0.9953 0.6457 0.2785
```

Record 2
A plane-wave DFT calculation with PBE was carried out for an optimized crystal structure of Ba2InOsO6.

## Properties
SG = Fm-3m, No. 225
theoretical density = 7.74 g/cm3

Geometry as CIF:
```
data_Ba2InOsO6
_chemical_formula_sum 'Ba2 In1 Os1 O6'
_symmetry_space_group_name_H-M 'P 1'
_symmetry_Int_Tables_number 1
_cell_length_a 5.8974
_cell_length_b 5.8974
_cell_length_c 5.8974
_cell_angle_alpha 60.00
_cell_angle_beta 60.00
_cell_angle_gamma 60.00
loop_
_symmetry_equiv_pos_as_xyz
'x,y,z'
loop_
_atom_site_label
_atom_site_type_symbol
_atom_site_fract_x
_atom_site_fract_y
_atom_site_fract_z
Ba1 Ba 0.2500 0.2500 0.2500
Ba2 Ba 0.7500 0.7500 0.7500
In1 In 0.0000 0.0000 0.0000
Os1 Os 0.5000 0.5000 0.5000
O1 O 0.2608 0.2608 0.7392
O2 O 0.2608 0.7392 0.2608
O3 O 0.2608 0.7392 0.7392
O4 O 0.7392 0.2608 0.2608
O5 O 0.7392 0.2608 0.7392
O6 O 0.7392 0.7392 0.2608
```

Record 3
A plane-wave DFT calculation with PBE was carried out for an optimized crystal structure of Ba2In2P3O12.

## Properties
SG = P2_13, No. 198
theoretical density = 4.55 g/cm3

Geometry as CIF:
```
data_Ba2In2P3O12
_chemical_formula_sum 'Ba8 In8 P12 O48'
_symmetry_space_group_name_H-M 'P 1'
_symmetry_Int_Tables_number 1
_cell_length_a 10.4859
_cell_length_b 10.4859
_cell_length_c 10.4859
_cell_angle_alpha 90.00
_cell_angle_beta 90.00
_cell_angle_gamma 90.00
loop_
_symmetry_equiv_pos_as_xyz
'x,y,z'
loop_
_atom_site_label
_atom_site_type_symbol
_atom_site_fract_x
_atom_site_fract_y
_atom_site_fract_z
Ba1 Ba 0.0557 0.0557 0.0557
Ba2 Ba 0.1927 0.3073 0.6927
Ba3 Ba 0.3073 0.6927 0.1927
Ba4 Ba 0.4443 0.9443 0.5557
Ba5 Ba 0.5557 0.4443 0.9443
Ba6 Ba 0.6927 0.1927 0.3073
Ba7 Ba 0.8073 0.8073 0.8073
Ba8 Ba 0.9443 0.5557 0.4443
In1 In 0.0854 0.9146 0.4146
In2 In 0.1695 0.6695 0.8305
In3 In 0.3305 0.3305 0.3305
In4 In 0.4146 0.0854 0.9146
In5 In 0.5854 0.5854 0.5854
In6 In 0.6695 0.8305 0.1695
In7 In 0.8305 0.1695 0.6695
In8 In 0.9146 0.4146 0.0854
P1 P 0.0145 0.2304 0.3790
P2 P 0.1210 0.9855 0.7304
P3 P 0.2304 0.3790 0.0145
P4 P 0.2696 0.6210 0.5145
P5 P 0.3790 0.0145 0.2304
P6 P 0.4855 0.7696 0.8790
P7 P 0.5145 0.2696 0.6210
P8 P 0.6210 0.5145 0.2696
P9 P 0.7304 0.1210 0.9855
P10 P 0.7696 0.8790 0.4855
P11 P 0.8790 0.4855 0.7696
P12 P 0.9855 0.7304 0.1210
O1 O 0.0010 0.1016 0.3080
O2 O 0.0061 0.5609 0.7664
O3 O 0.0475 0.8367 0.2043
O4 O 0.0609 0.7336 0.9939
O5 O 0.0853 0.8433 0.7570
O6 O 0.1016 0.3080 0.0010
O7 O 0.1567 0.2570 0.4147
O8 O 0.1633 0.7043 0.4525
O9 O 0.1920 0.9990 0.6016
O10 O 0.2043 0.0475 0.8367
O11 O 0.2336 0.5061 0.9391
O12 O 0.2430 0.5853 0.6567
O13 O 0.2570 0.4147 0.1567
O14 O 0.2664 0.4939 0.4391
O15 O 0.2957 0.9525 0.3367
O16 O 0.3080 0.0010 0.1016
O17 O 0.3367 0.2957 0.9525
O18 O 0.3433 0.7430 0.9147
O19 O 0.3984 0.6920 0.5010
O20 O 0.4147 0.1567 0.2570
O21 O 0.4391 0.2664 0.4939
O22 O 0.4525 0.1633 0.7043
O23 O 0.4939 0.4391 0.2664
O24 O 0.4990 0.8984 0.8080
O25 O 0.5010 0.3984 0.6920
O26 O 0.5061 0.9391 0.2336
O27 O 0.5475 0.6633 0.7957
O28 O 0.5609 0.7664 0.0061
O29 O 0.5853 0.6567 0.2430
O30 O 0.6016 0.1920 0.9990
O31 O 0.6567 0.2430 0.5853
O32 O 0.6633 0.7957 0.5475
O33 O 0.6920 0.5010 0.3984
O34 O 0.7043 0.4525 0.1633
O35 O 0.7336 0.9939 0.0609
O36 O 0.7430 0.9147 0.3433
O37 O 0.7570 0.0853 0.8433
O38 O 0.7664 0.0061 0.5609
O39 O 0.7957 0.5475 0.6633
O40 O 0.8080 0.4990 0.8984
O41 O 0.8367 0.2043 0.0475
O42 O 0.8433 0.7570 0.0853
O43 O 0.8984 0.8080 0.4990
O44 O 0.9147 0.3433 0.7430
O45 O 0.9391 0.2336 0.5061
O46 O 0.9525 0.3367 0.2957
O47 O 0.9939 0.0609 0.7336
O48 O 0.9990 0.6016 0.1920
```

ΔH_f (0 K), respectively: -2.408, -2.321, -2.745 eV/atom.